Record 1
A relaxed structure of La2AsI2, computed with PBE.

It has space group P-3m1 (No. 164), with a = 4.4261 Å, b = 4.4261 Å, c = 10.9653 Å, α = 90.00°, β = 90.00° and γ = 120.00°. The asymmetric unit holds La at (0.3333, 0.6667, 0.1521), As at (0.0000, 0.0000, 0.0000) and I at (0.3333, 0.6667, 0.6571).

The formation enthalpy at 0 K comes out at -838 kJ/mol of formula units. The total energy after the MP2020 corrections is -26.27 eV per formula unit. Its total energy is -25.51 eV per formula unit.

---

Record 2
A relaxed structure of AsS24I3, computed with PBE.

It has space group R3m (No. 160, hexagonal axes), with a = 26.0866 Å, b = 26.0866 Å, c = 5.0720 Å, α = 90.00°, β = 90.00° and γ = 120.00°. The asymmetric unit holds As at (0.0000, 0.0000, 0.0000), S at (0.0319, 0.4515, 0.9483), S at (0.0654, 0.5327, 0.1319), S at (0.0955, 0.3731, 0.4932), S at (0.1607, 0.4500, 0.3221), S at (0.1886, 0.0943, 0.8566) and I at (0.0515, 0.1030, 0.2296).

The formation enthalpy at 0 K comes out at -1341 kJ/mol of formula units. The total energy after the MP2020 corrections is -122.40 eV per formula unit. Its total energy is -109.19 eV per formula unit.

---

Record 3
A relaxed structure of InAs, computed with PBE.

It has space group Cmcm (No. 63), with a = 5.727 Å, b = 5.973 Å, c = 16.950 Å, α = 90.00°, β = 90.00° and γ = 90.00°. The asymmetric unit holds In at (0.000, 0.047, 0.250), In at (0.000, 0.413, 0.090), As at (0.000, 0.076, 0.570) and As at (0.000, 0.443, 0.750).

The total magnetization comes out at 0.0000 μB per atom. The formation enthalpy at 0 K comes out at -6 kJ/mol of formula units. Its total energy is -7.47 eV per formula unit.